DFT (meta-GGA r2SCAN) results for a relaxed structure of Nd2Ga9Co3.

Output
size of the total moment = 0.000 μB per atom
DFT formation energy = -42.9 kJ/mol of atoms
E_tot = -14.84 eV/atom
mass density = 8.101 g cm⁻³

Structure (CIF):
```
data_Nd2Ga9Co3
_symmetry_space_group_name_H-M 'P 1'
_symmetry_Int_Tables_number 1
_cell_length_a 7.347
_cell_length_b 7.347
_cell_length_c 9.549
_cell_angle_alpha 90.00
_cell_angle_beta 90.00
_cell_angle_gamma 60.36
loop_
_symmetry_equiv_pos_as_xyz
'x,y,z'
loop_
_atom_site_label
_atom_site_type_symbol
_atom_site_fract_x
_atom_site_fract_y
_atom_site_fract_z
Nd1 Nd 0.002 0.668 0.750
Nd2 Nd 0.332 0.998 0.750
Nd3 Nd 0.668 0.002 0.250
Nd4 Nd 0.998 0.332 0.250
Ga1 Ga 0.005 0.666 0.068
Ga2 Ga 0.005 0.666 0.432
Ga3 Ga 0.127 0.873 0.250
Ga4 Ga 0.334 0.995 0.068
Ga5 Ga 0.334 0.995 0.432
Ga6 Ga 0.336 0.456 0.250
Ga7 Ga 0.337 0.663 0.554
Ga8 Ga 0.337 0.663 0.946
Ga9 Ga 0.456 0.336 0.750
Ga10 Ga 0.544 0.664 0.250
Ga11 Ga 0.663 0.337 0.054
Ga12 Ga 0.663 0.337 0.446
Ga13 Ga 0.664 0.544 0.750
Ga14 Ga 0.666 0.005 0.568
Ga15 Ga 0.666 0.005 0.932
Ga16 Ga 0.873 0.127 0.750
Ga17 Ga 0.995 0.334 0.568
Ga18 Ga 0.995 0.334 0.932
Co1 Co 0.000 0.000 0.000
Co2 Co 0.000 0.000 0.500
Co3 Co 0.330 0.330 0.000
Co4 Co 0.330 0.330 0.500
Co5 Co 0.670 0.670 0.000
Co6 Co 0.670 0.670 0.500
```